Record 1
## K3Pm (PBE-GGA)

Data for K3Pm after structural relaxation.

- Formation enthalpy at 0 K: 557.6 meV/atom
- Energy above the lowest structure with this stoichiometry: 0.0043 eV per atom
- Calculated density: 1.93 Mg/m³
- Electronic total energy: -1.4628 eV/atom
- M_tot: 0.030 μB/atom

POSCAR file:
```
K3Pm
1.0
-2.8484 5.3493 5.0264
-3.1596 6.5166 -3.0895
-0.6627 -7.7693 -1.0920
K Pm
3 1
direct
0.7500 0.2500 0.5000 K
0.5000 0.5000 0.0000 K
0.2500 0.7500 0.5000 K
0.0000 0.0000 0.0000 Pm
```



Record 2
## KPm (PBE-GGA)

Data for KPm after structural relaxation.

- Formation enthalpy at 0 K: 456.3 meV/atom
- Calculated density: 3.54 Mg/m³
- Electronic total energy: -2.4742 eV/atom
- M_tot: 0.002 μB/atom

POSCAR file:
```
KPm
1.0
-0.2706 -3.6620 0.5301
2.6231 1.3614 -2.2428
4.5498 0.4759 5.6102
Pm K
1 1
direct
0.3333 0.6667 0.2500 Pm
0.6667 0.3333 0.7500 K
```



Record 3
## KPr3 (PBE-GGA)

Data for KPr3 after structural relaxation.

- Formation enthalpy at 0 K: 424.0 meV/atom
- Energy above the lowest structure with this stoichiometry: 0.0000 eV per atom
- Calculated density: 4.66 Mg/m³
- Electronic total energy: -3.4393 eV/atom
- M_tot: 0.104 μB/atom

POSCAR file:
```
KPr3
1.0
3.9833 -6.8992 0.0000
3.9833 6.8992 0.0000
0.0000 0.0000 5.9856
K Pr
2 6
direct
0.3333 0.6667 0.7500 K
0.6667 0.3333 0.2500 K
0.3092 0.1546 0.7500 Pr
0.1546 0.8454 0.2500 Pr
0.1546 0.3092 0.2500 Pr
0.8454 0.6908 0.7500 Pr
0.6908 0.8454 0.2500 Pr
0.8454 0.1546 0.7500 Pr
```



Record 4
## KPr3 (PBE-GGA)

Data for KPr3 after structural relaxation.

- Formation enthalpy at 0 K: 440.9 meV/atom
- Energy above the lowest structure with this stoichiometry: 0.0169 eV per atom
- Calculated density: 4.82 Mg/m³
- Electronic total energy: -3.4224 eV/atom
- M_tot: 0.001 μB/atom

POSCAR file:
```
KPr3
1.0
-3.6693 3.1077 2.4963
-1.2469 -4.1175 3.2931
3.7861 1.6557 3.5039
Pr K
3 1
direct
0.5000 0.0000 0.5000 Pr
0.0000 0.5000 0.5000 Pr
0.5000 0.5000 0.0000 Pr
0.0000 0.0000 0.0000 K
```